[1]
# NaCaPO4 PBE optimized geometry
data_NaCaPO4
_cell_length_a 20.658
_cell_length_b 9.206
_cell_length_c 5.479
_cell_angle_alpha 90.00
_cell_angle_beta 90.00
_cell_angle_gamma 90.00
_space_group_name_H-M_alt 'P n a 21'
_space_group_IT_number 33
_space_group_name_Hall 'P 2c -2n'
loop_
_atom_site_label
_atom_site_fract_x
_atom_site_fract_y
_atom_site_fract_z
_atom_site_occupancy
Na1 0.057 0.064 0.000 1
Na2 0.108 0.575 0.530 1
Na3 0.224 0.428 0.046 1
Ca1 0.002 0.701 0.998 1
Ca2 0.165 0.204 0.557 1
Ca3 0.169 0.795 0.034 1
P1 0.075 0.411 0.039 1
P2 0.093 0.912 0.504 1
P3 0.242 0.084 0.037 1
O1 0.003 0.442 0.096 1
O2 0.053 0.056 0.494 1
O3 0.073 0.812 0.286 1
O4 0.079 0.832 0.749 1
O5 0.081 0.306 0.817 1
O6 0.104 0.341 0.274 1
O7 0.110 0.556 0.982 1
O8 0.165 0.948 0.481 1
O9 0.170 0.058 0.981 1
O10 0.225 0.435 0.597 1
O11 0.227 0.648 0.300 1
O12 0.248 0.692 0.753 1
# Calculated formation energy in eV per atom: -3.035



[2]
# Sc2S3 PBE optimized geometry
data_Sc2S3
_cell_length_a 7.438
_cell_length_b 10.444
_cell_length_c 22.159
_cell_angle_alpha 90.00
_cell_angle_beta 90.00
_cell_angle_gamma 90.00
_space_group_name_H-M_alt 'F d d d'
_space_group_IT_number 70
loop_
_space_group_symop_operation_xyz
'x,y,z'
'-x,-y,-z'
'-x+1/4,-y+1/4,z'
'x+1/4,y+1/4,-z'
'x,-y+1/4,-z+1/4'
'-x,y+1/4,z+1/4'
'-x+1/4,y,-z+1/4'
'x+1/4,-y,z+1/4'
'x,y+1/2,z+1/2'
'-x,-y+1/2,-z+1/2'
'-x+1/4,-y+3/4,z+1/2'
'x+1/4,y+3/4,-z+1/2'
'x,-y+3/4,-z+3/4'
'-x,y+3/4,z+3/4'
'-x+1/4,y+1/2,-z+3/4'
'x+1/4,-y+1/2,z+3/4'
'x+1/2,y,z+1/2'
'-x+1/2,-y,-z+1/2'
'-x+3/4,-y+1/4,z+1/2'
'x+3/4,y+1/4,-z+1/2'
'x+1/2,-y+1/4,-z+3/4'
'-x+1/2,y+1/4,z+3/4'
'-x+3/4,y,-z+3/4'
'x+3/4,-y,z+3/4'
'x+1/2,y+1/2,z'
'-x+1/2,-y+1/2,-z'
'-x+3/4,-y+3/4,z'
'x+3/4,y+3/4,-z'
'x+1/2,-y+3/4,-z+1/4'
'-x+1/2,y+3/4,z+1/4'
'-x+3/4,y+1/2,-z+1/4'
'x+3/4,-y+1/2,z+1/4'
loop_
_atom_site_label
_atom_site_fract_x
_atom_site_fract_y
_atom_site_fract_z
_atom_site_occupancy
Sc1 0.125 0.125 0.042 1
Sc2 0.125 0.125 0.377 1
S1 0.116 0.375 0.375 1
S2 0.117 0.370 0.206 1
# Calculated formation energy in eV per atom: -2.215



[3]
# LiPr2Pa2O8 PBE optimized geometry
data_LiPr2Pa2O8
_cell_length_a 7.268
_cell_length_b 9.320
_cell_length_c 6.695
_cell_angle_alpha 90.00
_cell_angle_beta 122.49
_cell_angle_gamma 90.00
_space_group_name_H-M_alt 'C 1 2 1'
_space_group_IT_number 5
_space_group_name_Hall 'C 2y'
loop_
_atom_site_label
_atom_site_fract_x
_atom_site_fract_y
_atom_site_fract_z
_atom_site_occupancy
Li1 0.000 0.000 0.000 1
Pr1 0.000 0.545 0.500 1
Pr2 0.000 0.720 0.000 1
Pa1 0.000 0.313 0.000 1
Pa2 0.000 0.978 0.500 1
O1 0.060 0.107 0.261 1
O2 0.122 0.778 0.736 1
O3 0.150 0.514 0.251 1
O4 0.200 0.376 0.827 1
# Calculated formation energy in eV per atom: -3.607
# Offset from the most stable computed form in meV/atom: 72.1